Here is a relaxed structure of Ti2P2O11 from the Materials Project. Energies are from GGA-PBE.

Electronic total energy, eV per atom: -7.35
Total magnetic moment, μB per cell: 6.900

Unit cell a=5.2443 b=9.1283 c=9.8462 alpha=74.07 beta=85.82 gamma=84.64
With the nearest neighbours (Å) after each atom.
Positions (direct):
P 0.2476 0.1806 0.3730  4 O 1.54-1.56
P 0.7524 0.8194 0.6270  4 O 1.54-1.56
P 0.7184 0.6629 0.0718  4 O 1.53-1.56
P 0.2816 0.3371 0.9282  4 O 1.53-1.56
O 0.2661 0.9462 0.8040  2 Ti 1.82-1.83
O 0.4516 0.6969 0.0079  1 P 1.55
O 0.7150 0.7327 0.1998  1 P 1.56
O 0.0738 0.2610 0.0358  1 P 1.54
O 0.6661 0.2960 0.6302  1 Ti 2.11, 1 O 2.19
O 0.2538 0.1913 0.5271  1 P 1.55
O 0.6906 0.9914 0.6225  1 P 1.56
O 0.0223 0.7629 0.6796  1 P 1.54
O 0.4486 0.2800 0.2786  1 P 1.54
O 0.9262 0.7390 0.9642  1 P 1.54
O 0.2265 0.5103 0.8784  1 P 1.53
O 0.7281 0.0987 0.8130  1 Ti 1.95
O 0.5484 0.3031 0.9921  1 P 1.55
O 0.2850 0.2673 0.8002  1 P 1.56
O 0.3339 0.7040 0.3698  1 Ti 2.11, 1 O 2.19
O 0.3094 0.0086 0.3775  1 P 1.56
O 0.5514 0.7200 0.7214  1 P 1.54
O 0.9777 0.2371 0.3204  1 P 1.54
O 0.7339 0.0538 0.1960  2 Ti 1.82-1.83
O 0.7735 0.4897 0.1216  1 P 1.53
O 0.7462 0.8087 0.4729  1 P 1.55
O 0.2719 0.9013 0.1870  1 Ti 1.95
Ti 0.7630 0.2597 0.1596  6 O 1.83-2.03
Ti 0.5757 0.8844 0.2951  5 O 1.82-1.98
Ti 0.4243 0.1156 0.7049  5 O 1.82-1.98
Ti 0.2370 0.7403 0.8404  6 O 1.83-2.03